Crystalline Li12Mn7VP12O48 at its relaxed geometry. Source: the Materials Project database, functional PBE+U.

## Properties
Magnetic moment ... 30.0 μB/f.u.
V ... 1857 Å³ per cell
E_form ... -2578 meV per atom

a b c (Å): 8.6085 12.3333 17.5008
angles (deg): 89.99 89.92 87.91
Space group P1 (No. 1)
Asymmetric unit:
Li  0.0000  0.0000  0.0000 (multiplicity 1)
Li  0.0001  0.0635  0.6941 (multiplicity 1)
Li  0.0022  0.0663  0.1975 (multiplicity 1)
Li  0.1579  0.5411  0.8913 (multiplicity 1)
Li  0.1579  0.6063  0.0850 (multiplicity 1)
Li  0.1586  0.5426  0.3906 (multiplicity 1)
Li  0.1595  0.6085  0.5854 (multiplicity 1)
Li  0.2843  0.1349  0.9344 (multiplicity 1)
Li  0.2868  0.1321  0.4346 (multiplicity 1)
Li  0.3693  0.9768  0.6836 (multiplicity 1)
Li  0.3713  0.9761  0.1851 (multiplicity 1)
Li  0.4954  0.5676  0.1407 (multiplicity 1)
Li  0.4960  0.5011  0.3357 (multiplicity 1)
Li  0.4974  0.5035  0.8345 (multiplicity 1)
Li  0.4991  0.5684  0.6408 (multiplicity 1)
Li  0.6513  0.0463  0.9454 (multiplicity 1)
Li  0.6565  0.1082  0.7488 (multiplicity 1)
Li  0.6579  0.0428  0.4464 (multiplicity 1)
Li  0.6591  0.1096  0.2524 (multiplicity 1)
Li  0.7863  0.6321  0.4031 (multiplicity 1)
Li  0.7882  0.6292  0.9045 (multiplicity 1)
Li  0.8668  0.4788  0.1548 (multiplicity 1)
Li  0.8695  0.4788  0.6527 (multiplicity 1)
Li  0.9964  0.0011  0.5010 (multiplicity 1)
Mn  0.3251  0.1953  0.7717 (multiplicity 1)
Mn  0.3257  0.1958  0.2729 (multiplicity 1)
Mn  0.3264  0.7041  0.3130 (multiplicity 1)
Mn  0.3268  0.7040  0.8120 (multiplicity 1)
Mn  0.3290  0.4052  0.0623 (multiplicity 1)
Mn  0.3285  0.4062  0.5624 (multiplicity 1)
Mn  0.3301  0.9140  0.5220 (multiplicity 1)
Mn  0.3305  0.9142  0.0223 (multiplicity 1)
Mn  0.8262  0.6946  0.0650 (multiplicity 1)
Mn  0.8266  0.2037  0.5245 (multiplicity 1)
Mn  0.8265  0.6962  0.5648 (multiplicity 1)
Mn  0.8284  0.4132  0.8139 (multiplicity 1)
Mn  0.8300  0.4149  0.3156 (multiplicity 1)
Mn  0.8300  0.9062  0.2746 (multiplicity 1)
V  0.8251  0.1974  0.0275 (multiplicity 1)
V  0.8304  0.9116  0.7772 (multiplicity 1)
P  0.0395  0.8009  0.4166 (multiplicity 1)
P  0.0424  0.7978  0.9183 (multiplicity 1)
P  0.1166  0.8077  0.1703 (multiplicity 1)
P  0.1182  0.8087  0.6695 (multiplicity 1)
P  0.1777  0.1480  0.5919 (multiplicity 1)
P  0.1801  0.4437  0.2355 (multiplicity 1)
P  0.1803  0.4437  0.7358 (multiplicity 1)
P  0.1820  0.1467  0.0935 (multiplicity 1)
P  0.4729  0.9627  0.8431 (multiplicity 1)
P  0.4747  0.6655  0.4856 (multiplicity 1)
P  0.4748  0.6658  0.9855 (multiplicity 1)
P  0.4789  0.9617  0.3423 (multiplicity 1)
P  0.5385  0.3016  0.9191 (multiplicity 1)
P  0.5400  0.3012  0.4208 (multiplicity 1)
P  0.6128  0.3107  0.1684 (multiplicity 1)
P  0.6150  0.3097  0.6660 (multiplicity 1)
P  0.6767  0.6488  0.2450 (multiplicity 1)
P  0.6809  0.6523  0.7449 (multiplicity 1)
P  0.6810  0.9450  0.6005 (multiplicity 1)
P  0.6829  0.9493  0.1011 (multiplicity 1)
P  0.9735  0.1591  0.8501 (multiplicity 1)
P  0.9753  0.1661  0.3515 (multiplicity 1)
P  0.9753  0.4565  0.9951 (multiplicity 1)
P  0.9781  0.4619  0.4948 (multiplicity 1)
O  0.0004  0.1534  0.0977 (multiplicity 1)
O  0.0029  0.4691  0.7477 (multiplicity 1)
O  0.0032  0.4703  0.2470 (multiplicity 1)
O  0.0063  0.8998  0.2038 (multiplicity 1)
O  0.0095  0.8999  0.7036 (multiplicity 1)
O  0.0289  0.7359  0.1125 (multiplicity 1)
O  0.0302  0.7385  0.6110 (multiplicity 1)
O  0.1273  0.8712  0.4748 (multiplicity 1)
O  0.1285  0.8680  0.9771 (multiplicity 1)
O  0.1491  0.7088  0.3826 (multiplicity 1)
O  0.1510  0.1371  0.8390 (multiplicity 1)
O  0.1524  0.1398  0.3401 (multiplicity 1)
O  0.1521  0.7070  0.8832 (multiplicity 1)
O  0.1583  0.4528  0.9920 (multiplicity 1)
O  0.1609  0.4562  0.4910 (multiplicity 1)
O  0.1791  0.7263  0.2307 (multiplicity 1)
O  0.1794  0.7258  0.7298 (multiplicity 1)
O  0.2096  0.3197  0.2394 (multiplicity 1)
O  0.2104  0.3199  0.7396 (multiplicity 1)
O  0.2160  0.4812  0.6516 (multiplicity 1)
O  0.2174  0.0556  0.0315 (multiplicity 1)
O  0.2166  0.0564  0.5308 (multiplicity 1)
O  0.2169  0.4809  0.1513 (multiplicity 1)
O  0.2270  0.1081  0.6722 (multiplicity 1)
O  0.2324  0.1067  0.1734 (multiplicity 1)
O  0.2504  0.2502  0.5637 (multiplicity 1)
O  0.2499  0.8662  0.1319 (multiplicity 1)
O  0.2540  0.8646  0.6311 (multiplicity 1)
O  0.2555  0.2484  0.0646 (multiplicity 1)
O  0.2750  0.5037  0.2959 (multiplicity 1)
O  0.2749  0.5044  0.7960 (multiplicity 1)
O  0.3791  0.6053  0.0456 (multiplicity 1)
O  0.3804  0.6055  0.5464 (multiplicity 1)
O  0.3999  0.8605  0.8151 (multiplicity 1)
O  0.4030  0.2457  0.8806 (multiplicity 1)
O  0.4063  0.8595  0.3138 (multiplicity 1)
O  0.4067  0.2426  0.3829 (multiplicity 1)
O  0.4222  0.0031  0.9231 (multiplicity 1)
O  0.4293  0.0012  0.4226 (multiplicity 1)
O  0.4370  0.0534  0.7809 (multiplicity 1)
O  0.4366  0.6278  0.4016 (multiplicity 1)
O  0.4393  0.6290  0.9013 (multiplicity 1)
O  0.4403  0.0533  0.2813 (multiplicity 1)
O  0.4444  0.7895  0.4889 (multiplicity 1)
O  0.4460  0.7898  0.9902 (multiplicity 1)
O  0.4770  0.3837  0.9798 (multiplicity 1)
O  0.4777  0.3837  0.4806 (multiplicity 1)
O  0.4941  0.6538  0.2414 (multiplicity 1)
O  0.4978  0.6561  0.7415 (multiplicity 1)
O  0.5044  0.4013  0.6323 (multiplicity 1)
O  0.5037  0.4019  0.1334 (multiplicity 1)
O  0.5042  0.9712  0.5892 (multiplicity 1)
O  0.5056  0.9717  0.0902 (multiplicity 1)
O  0.5260  0.2407  0.2273 (multiplicity 1)
O  0.5282  0.2392  0.7247 (multiplicity 1)
O  0.6261  0.3733  0.8607 (multiplicity 1)
O  0.6278  0.3714  0.3623 (multiplicity 1)
O  0.6477  0.2104  0.9526 (multiplicity 1)
O  0.6502  0.2092  0.4544 (multiplicity 1)
O  0.6514  0.6393  0.4966 (multiplicity 1)
O  0.6517  0.6395  0.9976 (multiplicity 1)
O  0.6544  0.9566  0.8474 (multiplicity 1)
O  0.6617  0.9559  0.3461 (multiplicity 1)
O  0.6783  0.2271  0.6065 (multiplicity 1)
O  0.6778  0.2294  0.1088 (multiplicity 1)
O  0.7111  0.8210  0.5962 (multiplicity 1)
O  0.7173  0.5578  0.3062 (multiplicity 1)
O  0.7187  0.9825  0.6840 (multiplicity 1)
O  0.7200  0.9833  0.1856 (multiplicity 1)
O  0.7220  0.5618  0.8065 (multiplicity 1)
O  0.7215  0.8275  0.0916 (multiplicity 1)
O  0.7253  0.6101  0.1643 (multiplicity 1)
O  0.7292  0.6109  0.6647 (multiplicity 1)
O  0.7461  0.3693  0.2064 (multiplicity 1)
O  0.7472  0.3696  0.7038 (multiplicity 1)
O  0.7487  0.7516  0.2723 (multiplicity 1)
O  0.7515  0.7570  0.7705 (multiplicity 1)
O  0.7736  0.0179  0.0419 (multiplicity 1)
O  0.7759  0.0050  0.5398 (multiplicity 1)
O  0.8814  0.1057  0.2909 (multiplicity 1)
O  0.8823  0.0909  0.7910 (multiplicity 1)
O  0.9044  0.3518  0.0205 (multiplicity 1)
O  0.9058  0.3593  0.5227 (multiplicity 1)
O  0.9060  0.7426  0.4547 (multiplicity 1)
O  0.9104  0.7375  0.9563 (multiplicity 1)
O  0.9279  0.4970  0.9148 (multiplicity 1)
O  0.9293  0.5017  0.4144 (multiplicity 1)
O  0.9334  0.5470  0.0568 (multiplicity 1)
O  0.9345  0.2809  0.8407 (multiplicity 1)
O  0.9366  0.1247  0.9343 (multiplicity 1)
O  0.9384  0.1287  0.4354 (multiplicity 1)
O  0.9383  0.5531  0.5560 (multiplicity 1)
O  0.9450  0.2900  0.3474 (multiplicity 1)
O  0.9758  0.8789  0.8592 (multiplicity 1)
O  0.9775  0.8832  0.3565 (multiplicity 1)
O  0.9950  0.1539  0.5959 (multiplicity 1)